w | Na5H7Se4O18: relaxed, PBE.

Unit cell a=6.1215 b=7.3790 c=10.0985 alpha=102.19 beta=99.61 gamma=100.75
Closest atoms and distances in Å follow each position.
Positions (direct):
Na 0.0000 0.0000 0.0000  4 O 2.38-2.53
Na 0.1335 0.1707 0.3964  6 O 2.42-2.54
Na 0.3539 0.2564 0.8047  5 O 2.34-2.60
Na 0.6461 0.7436 0.1953  5 O 2.34-2.60
Na 0.8665 0.8293 0.6036  6 O 2.42-2.54
H 0.0239 0.6604 0.0956  1 O 0.99
H 0.1599 0.4009 0.0451  1 O 0.98
H 0.2718 0.5568 0.6188  1 O 1.02
H 0.5000 0.0000 0.5000  2 O 1.22
H 0.7282 0.4432 0.3812  1 O 1.02
H 0.8401 0.5991 0.9549  1 O 0.98
H 0.9761 0.3396 0.9044  1 O 0.99
Se 0.2464 0.6909 0.3733  4 O 1.66-1.73
Se 0.4121 0.7970 0.8235  4 O 1.64-1.78
Se 0.5879 0.2030 0.1765  4 O 1.64-1.78
Se 0.7536 0.3091 0.6267  4 O 1.66-1.73
O 0.0542 0.8203 0.3966  1 Se 1.66
O 0.1077 0.3052 0.9560  2 H 0.98-0.99
O 0.2221 0.9172 0.7734  1 Se 1.67
O 0.2234 0.5147 0.4534  1 H 1.60, 1 Se 1.67
O 0.2497 0.6108 0.2070  1 Se 1.66, 1 H 1.78
O 0.3030 0.5587 0.7217  1 H 1.02
O 0.3334 0.1239 0.2059  1 Se 1.66
O 0.4149 0.7708 0.9806  1 Se 1.64
O 0.4870 0.1603 0.5557  1 H 1.22
O 0.5130 0.8397 0.4443  1 H 1.22
O 0.5851 0.2292 0.0194  1 Se 1.64
O 0.6666 0.8761 0.7941  1 Se 1.66
O 0.6970 0.4413 0.2783  1 H 1.02
O 0.7503 0.3892 0.7930  1 Se 1.66, 1 H 1.78
O 0.7766 0.4853 0.5466  1 H 1.60, 1 Se 1.67
O 0.7779 0.0828 0.2266  1 Se 1.67
O 0.8923 0.6948 0.0440  2 H 0.98-0.99
O 0.9458 0.1797 0.6034  1 Se 1.66

=====

x | Na5H7Se4O18: relaxed, PBE.

Unit cell a=6.2491 b=7.4970 c=11.2084 alpha=98.31 beta=96.41 gamma=97.66
Closest atoms and distances in Å follow each position.
Positions (direct):
Na 0.0000 0.0000 0.0000  1 H 2.33, 5 O 2.33-2.61
Na 0.0843 0.2260 0.3546  3 H 2.52-2.57, 4 O 2.61-2.81
Na 0.1934 0.3540 0.7741  5 O 2.34-2.48
Na 0.5717 0.4351 0.1732  4 O 2.33-2.49
Na 0.7350 0.9455 0.6308  4 O 2.26-2.45, 1 H 2.53
H 0.0441 0.8282 0.3013  1 H 0.75
H 0.1590 0.5590 0.4549  1 H 0.75
H 0.2513 0.5223 0.4877  1 H 0.75
H 0.4828 0.0059 0.7886  1 O 0.99
H 0.6609 0.5067 0.9199  1 O 0.99
H 0.8594 0.2364 0.9188  1 O 1.08
H 0.9637 0.8836 0.2758  1 H 0.75
Se 0.0458 0.5343 0.0706  2 O 1.70-1.74
Se 0.1566 0.7939 0.7263  3 O 1.67-1.85
Se 0.5285 0.9643 0.1878  3 O 1.66-1.67
Se 0.6579 0.3935 0.6060  3 O 1.66
O 0.0283 0.9640 0.7899  1 Se 1.71
O 0.0610 0.3368 0.9712  1 H 1.40
O 0.2229 0.6776 0.8382  1 Se 1.67
O 0.3138 0.0595 0.1422  1 Se 1.67
O 0.4025 0.2959 0.6010  1 Se 1.66
O 0.4162 0.9324 0.7094  1 H 0.99
O 0.4969 0.3428 0.3561  1 O 1.35
O 0.5058 0.7433 0.1336  1 Se 1.66
O 0.5248 0.4174 0.9031  1 H 0.99
O 0.5334 0.9946 0.3693  1 O 1.34
O 0.5806 0.2700 0.9681  2 O 1.42-1.47
O 0.6896 0.3901 0.4292  1 O 1.35
O 0.6989 0.1570 0.8956  1 H 1.08
O 0.7087 0.6099 0.6730  1 Se 1.66
O 0.7358 0.0353 0.4297  1 O 1.34
O 0.7659 0.0803 0.1695  1 Se 1.67
O 0.8472 0.2766 0.6568  1 Se 1.66
O 0.9655 0.4709 0.2001  1 Se 1.70

=====

From most stable to least stable, the computed energies give w, x.

=====

w | Na5H7Se4O18: relaxed, PBE.

Unit cell a=6.0705 b=7.4669 c=10.0398 alpha=102.68 beta=99.20 gamma=100.01
Closest atoms and distances in Å follow each position.
Positions (direct):
Na 0.0000 0.0000 0.0000  6 O 2.39-2.63
Na 0.1315 0.1780 0.3944  4 O 2.30-2.53
Na 0.2672 0.3538 0.7945  6 O 2.42-2.60
Na 0.4774 0.4354 0.2013  5 O 2.37-2.62
Na 0.7863 0.9185 0.5841  4 O 2.36-2.47
H 0.0841 0.5014 0.3114  1 O 0.99
H 0.1812 0.8551 0.4741  1 O 0.99
H 0.2770 0.5658 0.4490  1 O 0.98
H 0.4194 0.7383 0.0156  1 O 1.02
H 0.6316 0.1621 0.8928  1 O 1.12
H 0.8440 0.6153 0.7764  1 O 1.03
H 0.9854 0.7868 0.3383  1 O 0.98
Se 0.3798 0.8702 0.7689  4 O 1.66-1.75
Se 0.5454 0.9762 0.2205  4 O 1.64-1.78
Se 0.7177 0.3791 0.5703  4 O 1.64-1.77
Se 0.8794 0.4837 0.0217  4 O 1.67-1.71
O 0.0374 0.8806 0.4284  2 H 0.98-0.99
O 0.0770 0.3566 0.9970  1 Se 1.67
O 0.1870 0.0005 0.7948  1 Se 1.66
O 0.2255 0.4732 0.3586  2 H 0.98-0.99
O 0.3512 0.0929 0.1686  1 Se 1.67
O 0.3631 0.6974 0.8485  1 H 1.61, 1 Se 1.66
O 0.3912 0.7944 0.6025  1 Se 1.66, 1 H 1.85
O 0.4444 0.7405 0.1189  1 H 1.02
O 0.4626 0.3029 0.6014  1 Se 1.66
O 0.5449 0.9506 0.3785  1 Se 1.64
O 0.6167 0.3370 0.9527  1 H 1.34
O 0.6485 0.0170 0.8430  1 H 1.12
O 0.7169 0.4053 0.4124  1 Se 1.64
O 0.8002 0.0526 0.1896  1 Se 1.65
O 0.8195 0.6143 0.6727  1 H 1.03
O 0.8802 0.5665 0.1903  1 Se 1.67, 1 H 1.80
O 0.9003 0.6573 0.9414  1 H 1.58, 1 Se 1.67
O 0.9113 0.2614 0.6215  1 Se 1.67

=====

x | Na5H7Se4O18: relaxed, PBE.

Unit cell a=6.2001 b=7.2538 c=10.2766 alpha=99.14 beta=96.71 gamma=99.92
Closest atoms and distances in Å follow each position.
Positions (direct):
Na 0.0000 0.0000 0.0000  2 O 2.26-2.27
Na 0.0751 0.1647 0.3992  5 O 2.32-2.46
Na 0.3433 0.2987 0.8426  5 O 2.37-2.58
Na 0.5826 0.7345 0.1775  4 O 2.30-2.52
Na 0.8806 0.8368 0.6396  3 O 2.33-2.40
H 0.1190 0.4020 0.0734  1 O 0.98
H 0.4610 0.9362 0.4035  1 O 0.99
H 0.4786 0.0695 0.6361  1 O 0.99
H 0.6792 0.4458 0.4019  1 O 1.02
H 0.8245 0.6278 0.9631  1 O 0.98
H 0.9453 0.3500 0.9413  1 O 0.98
H 0.9943 0.6740 0.0974  1 O 0.99
Se 0.1895 0.6719 0.3711  4 O 1.62-1.82
Se 0.3828 0.8043 0.8343  4 O 1.66-1.70
Se 0.5587 0.2208 0.1999  4 O 1.64-1.78
Se 0.7426 0.3352 0.6501  4 O 1.65-1.81
O 0.0285 0.8257 0.4116  1 Se 1.66
O 0.0743 0.3130 0.9881  2 H 0.98
O 0.1753 0.4937 0.4496  1 Se 1.62
O 0.1929 0.6144 0.2079  1 Se 1.67, 2 H 1.73-1.85
O 0.2081 0.9473 0.7879  1 Se 1.70
O 0.2872 0.5808 0.7570  1 Se 1.66
O 0.3109 0.1316 0.2338  1 Se 1.66
O 0.3906 0.8199 0.9986  1 Se 1.67
O 0.4679 0.8100 0.4262  1 H 0.99
O 0.4701 0.1863 0.5985  1 H 0.99
O 0.5644 0.2836 0.0542  1 Se 1.64
O 0.6319 0.8939 0.7952  1 Se 1.69
O 0.6546 0.4494 0.3028  1 H 1.02
O 0.7284 0.5054 0.5625  1 H 1.62, 1 Se 1.65
O 0.7392 0.0869 0.2421  1 Se 1.67
O 0.7493 0.4073 0.8114  1 Se 1.65, 1 H 1.84
O 0.8657 0.7127 0.0499  2 H 0.98-0.99
O 0.9116 0.1912 0.6068  1 Se 1.65

=====

From most stable to least stable, the computed energies give w, x.